Entry 1:
Zn3SiNi2 | r²SCAN | optimized geometry

a b c (Å): 10.5913 10.5913 10.5913
angles (deg): 90.00 90.00 90.00
Last column: nearest neighbours and their distance in Å.
Space group Fd-3m (No. 227, origin choice 2)
Inequivalent atoms, fractional coordinates:
Zn 0.0619 0.3750 0.3750 [48 per cell]  4 Ni 2.46-2.73, 2 Si 2.73
Si 0.0000 0.0000 0.5000 [16 per cell]  6 Ni 2.31
Ni 0.0387 0.0387 0.7113 [32 per cell]  3 Si 2.31, 3 Zn 2.46, 3 Ni 2.59

## Properties
Energy relative to the elements (meV per atom): -320

Entry 2:
Ca3Ge4Au7 | r²SCAN | optimized geometry

a b c (Å): 13.8433 9.7016 4.3950
angles (deg): 90.00 108.42 90.00
Last column: nearest neighbours and their distance in Å.
Space group C2 (No. 5)
Inequivalent atoms, fractional coordinates:
Ca 0.0000 0.0000 0.0000 [2 per cell]  6 Au 3.06-3.25, 2 Ge 3.18
Ca 0.1891 0.5040 0.6891 [4 per cell]  9 Au 3.12-3.45, 5 Ge 3.12-3.43
Ge 0.1313 0.2748 0.1317 [4 per cell]  1 Ge 2.60, 5 Au 2.70-2.82
Ge 0.1808 0.8578 0.6806 [4 per cell]  3 Au 2.53-2.55, 1 Ge 2.60
Au 0.0000 0.3081 0.5000 [2 per cell]  4 Au 2.80-2.89, 4 Ge 2.81-2.82, 2 Ca 3.13
Au 0.0000 0.5008 0.0000 [2 per cell]  2 Ge 2.79, 6 Au 2.89-2.92
Au 0.0000 0.6978 0.5000 [2 per cell]  2 Ge 2.84, 6 Au 2.84-2.91, 2 Ca 3.12
Au 0.1337 0.7415 0.1339 [4 per cell]  2 Ge 2.55, 2 Au 2.84-2.85
Au 0.1595 0.1168 0.6603 [4 per cell]  3 Ge 2.53-2.71, 1 Au 2.80

## Properties
Energy relative to the elements (meV per atom): -538

Entry 3:
Tl9BiSe6 | r²SCAN | optimized geometry

a b c (Å): 8.5562 8.5575 8.9076
angles (deg): 118.69 118.63 90.03
Last column: nearest neighbours and their distance in Å.
Space group P-1 (No. 2)
Inequivalent atoms, fractional coordinates:
Tl 0.0000 0.0000 0.0000 [1 per cell]  6 Se 3.39-3.57
Tl 0.0051 0.4852 0.6904 [2 per cell]  3 Se 3.02-3.29
Tl 0.2053 0.0047 0.6907 [2 per cell]  3 Se 3.02-3.29
Tl 0.3138 0.7949 0.3088 [2 per cell]  3 Se 3.02-3.29
Tl 0.4861 0.6865 0.6912 [2 per cell]  3 Se 3.02-3.30
Bi 0.5000 0.5000 0.0000 [1 per cell]  6 Se 2.97-3.00
Se 0.1816 0.3523 0.9999 [2 per cell]  1 Bi 3.00, 4 Tl 3.02-3.19
Se 0.2738 0.2722 0.5457 [2 per cell]  1 Bi 2.97, 4 Tl 3.29-3.30
Se 0.3520 0.8180 0.9994 [2 per cell]  1 Bi 3.00, 4 Tl 3.02-3.20

## Properties
Energy relative to the elements (meV per atom): -457

Entry 4:
Mn2SnO4 | r²SCAN | optimized geometry

a b c (Å): 6.2097 6.3284 8.9711
angles (deg): 90.00 90.00 90.00
Last column: nearest neighbours and their distance in Å.
Space group Imma (No. 74)
Inequivalent atoms, fractional coordinates:
Mn 0.0000 0.2500 0.1386 [4 per cell]  4 O 2.06-2.11
Mn 0.2500 0.2500 0.7500 [4 per cell]  6 O 2.16-2.24
Sn 0.0000 0.0000 0.5000 [4 per cell]  6 O 2.05-2.12
O 0.0000 0.0147 0.7279 [8 per cell]  1 Sn 2.05, 3 Mn 2.06-2.16
O 0.2264 0.2500 0.5006 [8 per cell]  2 Mn 2.11-2.24, 2 Sn 2.12

## Properties
Energy relative to the elements (meV per atom): -1930

Entry 5:
Si | r²SCAN | optimized geometry

a b c (Å): 14.6771 14.6771 14.6771
angles (deg): 90.00 90.00 90.00
Last column: nearest neighbours and their distance in Å.
Space group Fd-3m (No. 227, origin choice 2)
Inequivalent atoms, fractional coordinates:
Si 0.0143 0.0143 0.2357 [32 per cell]  3 Si 2.30
Si 0.0662 0.0662 0.8718 [96 per cell]  4 Si 2.30-2.44
Si 0.1250 0.1250 0.1250 [8 per cell]  4 Si 2.82

## Properties
Energy relative to the elements (meV per atom): 393
ΔE to the lowest computed polymorph (eV per atom): 0.393

Entry 6:
SnRh3 | r²SCAN | optimized geometry

a b c (Å): 5.5990 5.5990 4.4725
angles (deg): 90.00 90.00 120.00
Last column: nearest neighbours and their distance in Å.
Space group P6_3/mmc (No. 194)
Inequivalent atoms, fractional coordinates:
Sn 0.3333 0.6667 0.2500 [2 per cell]  12 Rh 2.78-2.80
Rh 0.1628 0.3257 0.7500 [6 per cell]  8 Rh 2.74-2.86, 4 Sn 2.78-2.80

## Properties
Energy relative to the elements (meV per atom): -268

Entry 7:
SmP4HO12 | r²SCAN | optimized geometry

a b c (Å): 7.1362 8.5823 8.8592
angles (deg): 99.11 112.21 106.66
Last column: nearest neighbours and their distance in Å.
Space group P-1 (No. 2)
Inequivalent atoms, fractional coordinates:
Sm 0.0924 0.2640 0.2588 [2 per cell]  7 O 2.32-2.46
P 0.0754 0.3820 0.6577 [2 per cell]  4 O 1.48-1.60
P 0.2109 0.1892 0.8940 [2 per cell]  4 O 1.48-1.61
P 0.3853 0.7139 0.4199 [2 per cell]  4 O 1.48-1.60
P 0.4243 0.8721 0.1530 [2 per cell]  4 O 1.47-1.57
H 0.4878 0.8579 0.7464 [2 per cell]  1 O 1.00
O 0.0544 0.0241 0.7620 [2 per cell]  1 P 1.48
O 0.1010 0.5637 0.6972 [2 per cell]  1 P 1.48
O 0.1659 0.3460 0.8378 [2 per cell]  2 P 1.58-1.60
O 0.1706 0.3170 0.5512 [2 per cell]  1 P 1.48
O 0.1781 0.7408 0.4289 [2 per cell]  2 P 1.59-1.60
O 0.1928 0.8037 0.0269 [2 per cell]  1 P 1.47
O 0.2386 0.2137 0.0709 [2 per cell]  1 P 1.48
O 0.3214 0.5421 0.3063 [2 per cell]  1 P 1.48
O 0.4415 0.2293 0.4003 [2 per cell]  1 P 1.49
O 0.4444 0.9372 0.8101 [2 per cell]  1 H 1.00
O 0.4497 0.2268 0.9029 [2 per cell]  2 P 1.55-1.61
O 0.4586 0.8564 0.3351 [2 per cell]  2 P 1.57-1.60

## Properties
Energy relative to the elements (meV per atom): -2525

Entry 8:
HfPt4 | r²SCAN | optimized geometry

a b c (Å): 3.9851 3.9851 20.0413
angles (deg): 90.00 90.00 90.00
Last column: nearest neighbours and their distance in Å.
Space group P4/mmm (No. 123)
Inequivalent atoms, fractional coordinates:
Hf 0.0000 0.0000 0.1009 [2 per cell]  12 Pt 2.81-2.84
Hf 0.0000 0.0000 0.3041 [2 per cell]  12 Pt 2.75-2.89
Pt 0.0000 0.0000 0.5000 [1 per cell]  12 Pt 2.82-2.84
Pt 0.0000 0.5000 0.0000 [2 per cell]  8 Pt 2.82-2.83, 4 Hf 2.84
Pt 0.0000 0.5000 0.1999 [4 per cell]  4 Hf 2.81-2.89, 8 Pt 2.82-2.83
Pt 0.0000 0.5000 0.3988 [4 per cell]  2 Hf 2.75, 10 Pt 2.81-2.84
Pt 0.5000 0.5000 0.0999 [2 per cell]  4 Hf 2.82, 8 Pt 2.83
Pt 0.5000 0.5000 0.2996 [2 per cell]  8 Pt 2.81-2.82, 4 Hf 2.82
Pt 0.5000 0.5000 0.5000 [1 per cell]  12 Pt 2.82-2.84

## Properties
Energy relative to the elements (meV per atom): -954